Entry 1:
Fe2OF3 PBE+U relaxed; crystal system = triclinic; energy of formation = -2.262 eV/atom
1.0
4.752 0.000 0.000
0.012 5.663 0.000
0.056 2.449 13.439
Fe O F
10 5 15
direct
0.000 0.000 0.000
0.004 0.194 0.396
0.012 0.391 0.796
0.038 0.589 0.207
0.478 0.288 0.608
0.497 0.890 0.798
0.506 0.693 0.395
0.521 0.102 0.186
0.557 0.481 0.988
0.972 0.793 0.582
0.218 0.491 0.349
0.296 0.190 0.748
0.697 0.189 0.047
0.710 0.586 0.852
0.792 0.895 0.445
0.196 0.123 0.531
0.201 0.918 0.139
0.202 0.340 0.930
0.207 0.701 0.734
0.298 0.002 0.334
0.309 0.435 0.121
0.314 0.816 0.934
0.323 0.629 0.537
0.693 0.757 0.259
0.695 0.954 0.664
0.713 0.384 0.463
0.802 0.081 0.852
0.804 0.672 0.061
0.809 0.263 0.264
0.819 0.455 0.660

---

Entry 2:
Fe2OF3 PBE+U relaxed; crystal system = orthorhombic; energy of formation = -2.280 eV/atom
1.0
15.425 0.000 0.000
0.000 3.503 3.397
0.000 -3.503 3.397
Fe O F
10 5 15
direct
0.000 0.000 0.000
0.100 0.469 0.469
0.200 0.939 0.939
0.300 0.470 0.470
0.400 0.990 0.990
0.500 0.445 0.445
0.600 0.990 0.990
0.700 0.470 0.470
0.800 0.939 0.939
0.900 0.469 0.469
0.000 0.301 0.301
0.200 0.638 0.638
0.397 0.292 0.292
0.603 0.292 0.292
0.800 0.638 0.638
0.000 0.679 0.679
0.100 0.174 0.765
0.100 0.765 0.174
0.199 0.260 0.260
0.300 0.171 0.762
0.300 0.762 0.171
0.401 0.672 0.672
0.500 0.183 0.771
0.500 0.771 0.183
0.599 0.672 0.672
0.700 0.171 0.762
0.700 0.762 0.171
0.801 0.260 0.260
0.900 0.174 0.765
0.900 0.765 0.174

---

Entry 3:
Fe4O7F PBE+U relaxed; crystal system = orthorhombic; energy of formation = -1.459 eV/atom
1.0
6.032 0.000 0.000
0.000 6.416 0.000
0.000 0.000 6.617
Fe O F
8 14 2
direct
0.007 0.250 0.242
0.250 0.250 0.744
0.250 0.750 0.232
0.493 0.250 0.242
0.507 0.750 0.758
0.750 0.250 0.768
0.750 0.750 0.256
0.993 0.750 0.758
0.003 0.056 0.747
0.003 0.444 0.747
0.250 0.250 0.046
0.250 0.250 0.437
0.250 0.750 0.933
0.497 0.056 0.747
0.497 0.444 0.747
0.503 0.556 0.253
0.503 0.944 0.253
0.750 0.250 0.067
0.750 0.750 0.563
0.750 0.750 0.954
0.997 0.556 0.253
0.997 0.944 0.253
0.250 0.750 0.547
0.750 0.250 0.453

---

Entry 4:
Fe4O7F PBE+U relaxed; crystal system = monoclinic; energy of formation = -1.458 eV/atom
1.0
4.624 -3.004 0.000
4.624 3.004 0.000
-4.299 0.000 9.240
Fe O F
8 14 2
direct
0.000 0.000 0.000
0.133 0.652 0.262
0.267 0.267 0.511
0.396 0.888 0.761
0.513 0.513 0.008
0.652 0.133 0.262
0.744 0.744 0.496
0.888 0.396 0.761
0.039 0.039 0.359
0.061 0.558 0.411
0.213 0.715 0.105
0.276 0.276 0.852
0.307 0.811 0.911
0.460 0.966 0.603
0.498 0.498 0.663
0.522 0.522 0.346
0.558 0.061 0.411
0.715 0.213 0.105
0.747 0.747 0.165
0.783 0.783 0.855
0.811 0.307 0.911
0.966 0.460 0.603
0.236 0.236 0.155
0.985 0.985 0.658

---

Entry 5:
Fe6OF11 PBE+U relaxed; crystal system = orthorhombic; energy of formation = -2.482 eV/atom
1.0
3.253 0.000 0.000
0.000 10.275 3.396
0.000 -10.275 3.396
Fe O F
6 1 11
direct
0.000 0.000 0.000
0.000 0.362 0.694
0.000 0.694 0.362
0.500 0.196 0.862
0.500 0.540 0.540
0.500 0.862 0.196
0.500 0.842 0.842
0.000 0.131 0.935
0.000 0.263 0.795
0.000 0.456 0.592
0.000 0.592 0.456
0.000 0.795 0.263
0.000 0.935 0.131
0.500 0.159 0.495
0.500 0.222 0.222
0.500 0.495 0.159
0.500 0.563 0.899
0.500 0.899 0.563

---

Entry 6:
Fe10O11F9 PBE+U relaxed; crystal system = triclinic; energy of formation = -1.957 eV/atom
1.0
4.761 0.000 0.000
0.323 4.755 0.000
0.020 0.029 15.336
Fe O F
10 11 9
direct
0.000 0.000 0.000
0.001 0.001 0.793
0.034 0.969 0.194
0.039 0.981 0.599
0.457 0.467 0.091
0.459 0.472 0.494
0.460 0.471 0.702
0.495 0.505 0.303
0.502 0.494 0.897
0.999 0.008 0.406
0.184 0.171 0.097
0.187 0.174 0.700
0.188 0.177 0.500
0.286 0.690 0.396
0.297 0.684 0.991
0.299 0.687 0.804
0.313 0.667 0.600
0.314 0.665 0.197
0.687 0.293 0.396
0.687 0.295 0.993
0.689 0.297 0.802
0.187 0.184 0.897
0.190 0.180 0.296
0.697 0.278 0.600
0.700 0.273 0.197
0.802 0.790 0.502
0.803 0.787 0.098
0.805 0.788 0.698
0.806 0.799 0.294
0.807 0.805 0.897

---

Entry 7:
Fe4O7F PBE+U relaxed; crystal system = monoclinic; energy of formation = -1.460 eV/atom
1.0
4.404 -3.317 0.000
4.404 3.317 0.000
-0.591 0.000 8.803
Fe O F
8 14 2
direct
0.000 0.500 0.500
0.116 0.626 0.121
0.227 0.773 0.750
0.374 0.884 0.379
0.500 0.000 0.000
0.626 0.116 0.621
0.773 0.227 0.250
0.884 0.374 0.879
0.024 0.534 0.722
0.071 0.929 0.250
0.200 0.309 0.003
0.218 0.726 0.529
0.274 0.782 0.971
0.309 0.200 0.503
0.466 0.976 0.778
0.534 0.024 0.222
0.691 0.800 0.497
0.726 0.218 0.029
0.782 0.274 0.471
0.800 0.691 0.997
0.929 0.071 0.750
0.976 0.466 0.278
0.453 0.547 0.250
0.547 0.453 0.750

---

Entry 8:
Fe10O11F9 PBE+U relaxed; crystal system = triclinic; energy of formation = -1.956 eV/atom
1.0
4.702 0.000 0.000
0.042 4.710 0.000
0.058 0.033 15.476
Fe O F
10 11 9
direct
0.000 0.000 0.000
0.002 0.060 0.398
0.492 0.473 0.293
0.496 0.478 0.496
0.508 0.505 0.902
0.524 0.503 0.698
0.537 0.534 0.090
0.975 0.039 0.197
0.981 0.041 0.785
0.993 0.043 0.600
0.178 0.210 0.294
0.183 0.212 0.498
0.201 0.225 0.696
0.311 0.715 0.994
0.677 0.318 0.395
0.687 0.333 0.193
0.689 0.333 0.800
0.690 0.327 0.596
0.710 0.316 0.994
0.802 0.825 0.695
0.817 0.835 0.098
0.191 0.206 0.895
0.204 0.221 0.096
0.288 0.714 0.396
0.297 0.722 0.800
0.298 0.722 0.196
0.302 0.717 0.595
0.787 0.818 0.297
0.794 0.818 0.495
0.810 0.827 0.893